No. 1
VASP calculation (GGA+U) on NaSrPrFeO6 after structural relaxation.

CIF file:
```
data_NaSrPrFeO6
_chemical_formula_sum 'Na4 Sr4 Pr4 Fe4 O24'
_cell_length_a 8.3215
_cell_length_b 8.3215
_cell_length_c 8.3215
_cell_angle_alpha 90.00
_cell_angle_beta 90.00
_cell_angle_gamma 90.00
_symmetry_space_group_name_H-M 'F -4 3 m'
_symmetry_Int_Tables_number 216
_symmetry_space_group_name_Hall 'F -4 2 3'
loop_
_atom_site_label
_atom_site_type_symbol
_atom_site_fract_x
_atom_site_fract_y
_atom_site_fract_z
Na1 Na 0.0000 0.0000 0.0000
Sr1 Sr 0.0000 0.0000 0.5000
Pr1 Pr 0.2500 0.2500 0.7500
Fe1 Fe 0.2500 0.2500 0.2500
O1 O 0.0263 0.2500 0.2500
```

**E_form**: -2.14 eV per atom
**Total magnetization**: 0.400 μB/atom

=====

No. 2
VASP calculation (GGA+U) on Na3CoO3 after structural relaxation.

CIF file:
```
data_Na3CoO3
_chemical_formula_sum 'Na12 Co4 O12'
_cell_length_a 7.5169
_cell_length_b 7.5169
_cell_length_c 7.5169
_cell_angle_alpha 90.00
_cell_angle_beta 90.00
_cell_angle_gamma 90.00
_symmetry_space_group_name_H-M 'P 21 3'
_symmetry_Int_Tables_number 198
_symmetry_space_group_name_Hall 'P 2ac 2ab 3'
loop_
_atom_site_label
_atom_site_type_symbol
_atom_site_fract_x
_atom_site_fract_y
_atom_site_fract_z
Na1 Na 0.0327 0.0327 0.0327
Na2 Na 0.2124 0.2876 0.7124
Na3 Na 0.2330 0.7330 0.7670
Co1 Co 0.0216 0.5216 0.9784
O1 O 0.0015 0.2235 0.4012
```

**Maximum piezoelectric response**: 1.9 C/m²
**E_form**: -1.52 eV per atom
**Total magnetization**: 0.571 μB/atom
**Energy above the most stable polymorph in this dataset**: 57 meV/atom

=====

No. 3
VASP calculation (GGA+U) on Li4NiP2O8 after structural relaxation.

CIF file:
```
data_Li4NiP2O8
_chemical_formula_sum 'Li16 Ni4 P8 O32'
_cell_length_a 8.2899
_cell_length_b 10.2818
_cell_length_c 8.2753
_cell_angle_alpha 90.00
_cell_angle_beta 106.22
_cell_angle_gamma 90.00
_symmetry_space_group_name_H-M 'P 1 21/c 1'
_symmetry_Int_Tables_number 14
loop_
_symmetry_equiv_pos_as_xyz
'x,y,z'
'-x,-y,-z'
'-x,y+1/2,-z+1/2'
'x,-y+1/2,z+1/2'
loop_
_atom_site_label
_atom_site_type_symbol
_atom_site_fract_x
_atom_site_fract_y
_atom_site_fract_z
Li1 Li 0.0214 0.0742 0.2711
Li2 Li 0.1006 0.1638 0.5992
Li3 Li 0.1529 0.6631 0.6595
Li4 Li 0.3513 0.1532 0.3515
Ni1 Ni 0.4031 0.6504 0.4074
P1 P 0.2087 0.0913 0.9765
P2 P 0.2700 0.5936 0.0368
O1 O 0.0618 0.1034 0.8126
O2 O 0.1205 0.6526 0.0918
O3 O 0.1611 0.1506 0.1289
O4 O 0.2275 0.0486 0.4793
O5 O 0.2470 0.5565 0.5095
O6 O 0.3035 0.6727 0.8887
O7 O 0.3633 0.1644 0.9480
O8 O 0.4329 0.6044 0.1870
```

**E_form**: -2.55 eV per atom
**Total magnetization**: 0.133 μB/atom

=====

No. 4
VASP calculation (GGA+U) on V3OF11 after structural relaxation.

CIF file:
```
data_V3OF11
_chemical_formula_sum 'V6 O2 F22'
_cell_length_a 5.2652
_cell_length_b 5.4650
_cell_length_c 14.8364
_cell_angle_alpha 100.26
_cell_angle_beta 90.01
_cell_angle_gamma 90.00
_symmetry_space_group_name_H-M 'P 1'
_symmetry_Int_Tables_number 1
loop_
_symmetry_equiv_pos_as_xyz
'x,y,z'
loop_
_atom_site_label
_atom_site_type_symbol
_atom_site_fract_x
_atom_site_fract_y
_atom_site_fract_z
V1 V 0.0000 0.0000 0.0000
V2 V 0.0083 0.6547 0.3341
V3 V 0.0326 0.3619 0.6705
V4 V 0.4835 0.5282 0.0037
V5 V 0.5083 0.1547 0.3340
V6 V 0.5162 0.8337 0.6670
O1 O 0.2128 0.6125 0.6898
O2 O 0.3034 0.7789 0.0233
F1 F 0.0809 0.2588 0.5517
F2 F 0.0959 0.6131 0.2174
F3 F 0.0970 0.9371 0.8840
F4 F 0.2051 0.9655 0.3587
F5 F 0.2167 0.2991 0.0255
F6 F 0.3001 0.1327 0.6922
F7 F 0.3114 0.4654 0.3587
F8 F 0.4190 0.7706 0.5509
F9 F 0.4216 0.1128 0.2172
F10 F 0.4349 0.4259 0.8850
F11 F 0.5834 0.8548 0.7849
F12 F 0.5935 0.1951 0.4510
F13 F 0.6013 0.5188 0.1150
F14 F 0.7054 0.8434 0.3094
F15 F 0.7149 0.1822 0.9772
F16 F 0.7233 0.5190 0.6433
F17 F 0.7929 0.6858 0.9764
F18 F 0.8016 0.0155 0.6442
F19 F 0.8111 0.3433 0.3093
F20 F 0.9173 0.3519 0.7819
F21 F 0.9215 0.6931 0.4508
F22 F 0.9327 0.0234 0.1181
```

**E_form**: -2.89 eV per atom
**Energy above the most stable polymorph in this dataset**: 6 meV/atom

=====

> The highest E_form belongs to which entry?

Na3CoO3

=====

> Look up the E_form of the third one.

-2.55 eV per atom